Cd3H14S3N2O16 | PBE | relaxed

Results
Calculated formation energy (eV/atom): -1.37
Calculated density (g/cm³): 3.1

Cell: 10.3314 10.3314 10.2306 Å, 90.00 90.00 45.96°
With the nearest neighbours (Å) after each atom.
Element x y z (fractional)
Cd: 0.1893 0.8107 0.5000  6 O 2.27-2.43
Cd: 0.3732 0.4483 0.2140  6 O 2.30-2.37
Cd: 0.4483 0.3732 0.7140  6 O 2.30-2.37
Cd: 0.5517 0.6268 0.2140  6 O 2.30-2.37
Cd: 0.6268 0.5517 0.7140  6 O 2.30-2.37
Cd: 0.8107 0.1893 0.0000  6 O 2.27-2.43
H: 0.0288 0.3432 0.2173  1 N 1.04
H: 0.0817 0.5683 0.0476  1 O 1.00
H: 0.0994 0.7074 0.0332  1 O 0.98
H: 0.1164 0.1879 0.7332  1 N 1.03
H: 0.1452 0.2513 0.3575  1 N 1.03
H: 0.1879 0.1164 0.2332  1 N 1.03
H: 0.1941 0.8059 0.2378  1 O 0.98
H: 0.2261 0.2521 0.7221  1 N 1.04
H: 0.2513 0.1452 0.8575  1 N 1.03
H: 0.2521 0.2261 0.2221  1 N 1.04
H: 0.2926 0.9006 0.0332  1 O 0.98
H: 0.3432 0.0288 0.7173  1 N 1.04
H: 0.4317 0.9183 0.0476  1 O 1.00
H: 0.4758 0.5242 0.9970  1 O 0.98
H: 0.5242 0.4758 0.4970  1 O 0.98
H: 0.5683 0.0817 0.5476  1 O 1.00
H: 0.6568 0.9712 0.2173  1 N 1.04
H: 0.7074 0.0994 0.5332  1 O 0.98
H: 0.7479 0.7739 0.7221  1 N 1.04
H: 0.7487 0.8548 0.3575  1 N 1.03
H: 0.7739 0.7479 0.2221  1 N 1.04
H: 0.8059 0.1941 0.7378  1 O 0.98
H: 0.8121 0.8836 0.7332  1 N 1.03
H: 0.8548 0.7487 0.8575  1 N 1.03
H: 0.8836 0.8121 0.2332  1 N 1.03
H: 0.9006 0.2926 0.5332  1 O 0.98
H: 0.9183 0.4317 0.5476  1 O 1.00
H: 0.9712 0.6568 0.7173  1 N 1.04
S: 0.1217 0.5214 0.4892  4 O 1.48-1.52
S: 0.1875 0.8125 0.8326  4 O 1.49-1.51
S: 0.4786 0.8783 0.4892  4 O 1.48-1.52
S: 0.5214 0.1217 0.9892  4 O 1.48-1.52
S: 0.8125 0.1875 0.3326  4 O 1.49-1.51
S: 0.8783 0.4786 0.9892  4 O 1.48-1.52
N: 0.1529 0.2341 0.2580  4 H 1.03-1.04
N: 0.2341 0.1529 0.7580  4 H 1.03-1.04
N: 0.7659 0.8471 0.2580  4 H 1.03-1.04
N: 0.8471 0.7659 0.7580  4 H 1.03-1.04
O: 0.0186 0.4792 0.9612  1 S 1.48
O: 0.0389 0.7108 0.4871  1 S 1.50
O: 0.0721 0.9279 0.7183  1 S 1.49
O: 0.0907 0.9093 0.9585  1 S 1.51
O: 0.0974 0.6393 0.0987  2 H 0.98-1.00
O: 0.1944 0.4450 0.6258  1 S 1.52
O: 0.2284 0.6428 0.8331  1 S 1.49
O: 0.2704 0.4079 0.3929  1 S 1.48
O: 0.2892 0.9611 0.4871  1 S 1.50
O: 0.2946 0.7054 0.2915  1 H 0.98
O: 0.3572 0.7716 0.8331  1 S 1.49
O: 0.3607 0.9026 0.0987  2 H 0.98-1.00
O: 0.4079 0.2704 0.8929  1 S 1.48
O: 0.4450 0.1944 0.1258  1 S 1.52
O: 0.4539 0.5461 0.5749  1 H 0.98
O: 0.4792 0.0186 0.4612  1 S 1.48
O: 0.5208 0.9814 0.9612  1 S 1.48
O: 0.5461 0.4539 0.0749  1 H 0.98
O: 0.5550 0.8056 0.6258  1 S 1.52
O: 0.5921 0.7296 0.3929  1 S 1.48
O: 0.6393 0.0974 0.5987  2 H 0.98-1.00
O: 0.6428 0.2284 0.3331  1 S 1.49
O: 0.7054 0.2946 0.7915  1 H 0.98
O: 0.7108 0.0389 0.9871  1 S 1.50
O: 0.7296 0.5921 0.8929  1 S 1.48
O: 0.7716 0.3572 0.3331  1 S 1.49
O: 0.8056 0.5550 0.1258  1 S 1.52
O: 0.9026 0.3607 0.5987  2 H 0.98-1.00
O: 0.9093 0.0907 0.4585  1 S 1.51
O: 0.9279 0.0721 0.2183  1 S 1.49
O: 0.9611 0.2892 0.9871  1 S 1.50
O: 0.9814 0.5208 0.4612  1 S 1.48